This record from Materials Project describes a relaxed Na7Mg3ZrP5SO24 crystal. The functional is PBE.

Values from the calculation:
Energy (eV/f.u.): -269.7
ΔE_f (eV per atom): -2.77

```
Na7Mg3ZrP5SO24
1.0
8.9983 0.0000 0.0000
4.4935 7.8317 0.0000
0.1348 0.0166 22.3138
Na Mg Zr P S O
21 9 3 15 3 72
direct
0.0000 0.0000 0.0000
0.0011 0.6238 0.5025
0.0363 0.6741 0.1680
0.0371 0.3069 0.9124
0.0461 0.3035 0.4143
0.0615 0.9734 0.3294
0.3338 0.9739 0.8282
0.3515 0.6405 0.7427
0.3624 0.6316 0.2503
0.3722 0.2620 0.9974
0.3761 0.9999 0.5033
0.3930 0.3054 0.6651
0.3947 0.9332 0.1691
0.6707 0.6544 0.6646
0.6790 0.2891 0.1670
0.7055 0.9645 0.5835
0.7091 0.9661 0.0800
0.7108 0.6019 0.3339
0.7149 0.3244 0.8287
0.7322 0.2705 0.5041
0.7369 0.6338 0.9967
0.0353 0.2909 0.0648
0.0371 0.3020 0.5728
0.0386 0.3019 0.7651
0.0467 0.2897 0.2709
0.3638 0.6383 0.0960
0.3717 0.6313 0.6041
0.6958 0.9661 0.4298
0.7043 0.9628 0.9325
0.7079 0.9671 0.2400
0.3651 0.6303 0.8984
0.3750 0.6188 0.3972
0.7119 0.9619 0.7306
0.0363 0.0029 0.1672
0.0415 0.5875 0.6655
0.0709 0.6310 0.0044
0.3263 0.0028 0.6671
0.3714 0.3323 0.5037
0.3725 0.9278 0.0026
0.4070 0.2558 0.8356
0.4085 0.9686 0.3332
0.6649 0.3358 0.0033
0.6667 0.6322 0.5020
0.7080 0.2543 0.3327
0.7101 0.6666 0.8361
0.7445 0.3003 0.6663
0.9938 0.6700 0.3331
0.9959 0.9695 0.8367
0.0761 0.9248 0.5011
0.3287 0.2983 0.1665
0.7439 0.5908 0.1670
0.0012 0.5200 0.6081
0.0078 0.1145 0.1110
0.0106 0.4927 0.3260
0.0175 0.1269 0.8289
0.0565 0.4677 0.0082
0.0601 0.0964 0.5055
0.0653 0.0867 0.2227
0.0681 0.4751 0.7198
0.1530 0.6611 0.0596
0.1603 0.8135 0.5523
0.1742 0.6586 0.3397
0.1796 0.8080 0.8397
0.1815 0.8468 0.4452
0.1920 0.6007 0.9493
0.1998 0.8205 0.1622
0.2010 0.6078 0.6593
0.2086 0.3148 0.5054
0.2096 0.1058 0.0065
0.2180 0.3269 0.2189
0.2252 0.0854 0.7242
0.2247 0.1198 0.3280
0.2315 0.2719 0.8282
0.2513 0.2734 0.1116
0.2530 0.1133 0.6106
0.3416 0.4525 0.4481
0.3418 0.8403 0.9470
0.3523 0.4514 0.1617
0.3601 0.8184 0.6613
0.3894 0.8014 0.3394
0.3988 0.4190 0.5577
0.3989 0.4336 0.8398
0.4029 0.8145 0.0578
0.4907 0.9874 0.3898
0.4918 0.1485 0.8914
0.5022 0.1416 0.1723
0.5131 0.9855 0.6728
0.5206 0.9313 0.2766
0.5244 0.1739 0.7794
0.5333 0.9458 0.9953
0.5347 0.1560 0.4949
0.5394 0.6547 0.8401
0.5472 0.4408 0.3384
0.5497 0.6623 0.5558
0.5511 0.4207 0.0584
0.5615 0.4591 0.6621
0.5699 0.6071 0.1619
0.5775 0.4511 0.9469
0.5770 0.6073 0.4450
0.6743 0.7831 0.7800
0.6758 0.1808 0.2759
0.6830 0.1574 0.9962
0.6878 0.7918 0.4947
0.7165 0.1408 0.6720
0.7218 0.7664 0.1719
0.7272 0.7523 0.8921
0.7348 0.1465 0.3891
0.8244 0.4860 0.2209
0.8256 0.3256 0.7228
0.8427 0.3229 0.0062
0.8438 0.4667 0.5040
0.8497 0.2712 0.6090
0.8509 0.5119 0.1130
0.8594 0.4851 0.8288
0.8649 0.2816 0.3273
0.8733 0.9827 0.1721
0.8737 0.7685 0.6731
0.8866 0.7524 0.3897
0.8888 0.9942 0.8926
0.8941 0.7918 0.9959
0.9029 0.9433 0.4946
0.9097 0.9401 0.7815
0.9197 0.7807 0.2766
```